# 1
Li4SbS4 | Materials Project | PBE | optimized geometry; ρ = 2452 kg/m3; volume = 376.21 Å³ per cell; symmetry = Cmcm, No. 63; E_tot = -4.04 eV/atom; formation enthalpy at 0 K = -25.9 kcal/mol of atoms
1.0
4.521 -5.199 0.000
4.521 5.199 0.000
0.000 0.000 8.002
Li S Sb
8 8 2
direct
0.582 0.885 0.250 Li
0.418 0.115 0.750 Li
0.157 0.843 0.500 Li
0.157 0.843 0.000 Li
0.115 0.418 0.750 Li
0.843 0.157 0.000 Li
0.843 0.157 0.500 Li
0.885 0.582 0.250 Li
0.796 0.796 0.009 S
0.796 0.796 0.491 S
0.250 0.692 0.250 S
0.750 0.308 0.750 S
0.204 0.204 0.991 S
0.204 0.204 0.509 S
0.308 0.750 0.750 S
0.692 0.250 0.250 S
0.354 0.354 0.250 Sb
0.646 0.646 0.750 Sb

# 2
Sm3SnC | Materials Project | PBE | optimized geometry; ρ = 5117 kg/m3; volume = 188.78 Å³ per cell; symmetry = Pm-3m, No. 221; E_tot = -4.05 eV/atom; formation enthalpy at 0 K = 32.9 kcal/mol of atoms
1.0
-3.703 2.198 3.790
-2.125 -5.241 0.963
3.832 -0.783 4.197
Sm C Sn
3 1 1
direct
0.500 0.500 0.000 Sm
0.000 0.500 0.500 Sm
0.500 0.000 0.500 Sm
0.000 0.000 0.000 C
0.500 0.500 0.500 Sn

# 3
TbTi2Ga4 | Materials Project | PBE | optimized geometry; ρ = 7066 kg/m3; volume = 125.39 Å³ per cell; symmetry = I4/mmm, No. 139; E_tot = -5.18 eV/atom; formation enthalpy at 0 K = -12.4 kcal/mol of atoms
1.0
0.000 0.000 -5.447
-3.393 -3.393 -2.724
-3.393 3.393 -2.724
Ga Tb Ti
4 1 2
direct
0.303 0.000 0.395 Ga
0.303 0.395 0.000 Ga
0.697 0.000 0.605 Ga
0.697 0.605 0.000 Ga
0.000 0.000 0.000 Tb
0.750 0.500 0.500 Ti
0.250 0.500 0.500 Ti

# 4
Na6MgNb5Si6P3O36 | Materials Project | PBE | optimized geometry; ρ = 3080 kg/m3; volume = 1578.94 Å³ per cell; symmetry = Cc, No. 9; E_tot = -7.55 eV/atom; formation enthalpy at 0 K = -67.9 kcal/mol of atoms
1.0
-0.945 2.366 -8.600
6.809 -5.285 2.482
-12.873 -18.314 -3.600
O Na P Mg Nb Si
72 12 6 2 10 12
direct
0.835 0.817 0.590 O
0.853 0.357 0.924 O
0.986 0.809 0.805 O
0.506 0.640 0.857 O
0.700 0.160 0.029 O
0.191 0.014 0.305 O
0.183 0.165 0.090 O
0.186 0.028 0.591 O
0.889 0.508 0.145 O
0.833 0.318 0.250 O
0.492 0.111 0.645 O
0.635 0.516 0.648 O
0.024 0.835 0.408 O
0.509 0.860 0.075 O
0.971 0.169 0.590 O
0.530 0.700 0.254 O
0.477 0.166 0.528 O
0.360 0.494 0.357 O
0.830 0.013 0.806 O
0.643 0.147 0.424 O
0.027 0.191 0.909 O
0.030 0.831 0.695 O
0.506 0.144 0.924 O
0.502 0.654 0.576 O
0.168 0.694 0.472 O
0.639 0.494 0.923 O
0.527 0.692 0.973 O
0.694 0.526 0.529 O
0.809 0.973 0.409 O
0.192 0.176 0.805 O
0.346 0.498 0.076 O
0.635 0.119 0.140 O
0.464 0.310 0.748 O
0.306 0.832 0.972 O
0.178 0.479 0.254 O
0.474 0.306 0.029 O
0.881 0.365 0.640 O
0.160 0.466 0.976 O
0.840 0.538 0.747 O
0.462 0.160 0.247 O
0.690 0.536 0.248 O
0.166 0.188 0.410 O
0.484 0.365 0.148 O
0.295 0.829 0.254 O
0.987 0.170 0.306 O
0.682 0.167 0.750 O
0.149 0.650 0.074 O
0.534 0.840 0.476 O
0.134 0.638 0.356 O
0.803 0.827 0.195 O
0.834 0.523 0.028 O
0.824 0.808 0.305 O
0.972 0.814 0.091 O
0.350 0.851 0.574 O
0.831 0.029 0.090 O
0.300 0.470 0.754 O
0.140 0.491 0.575 O
0.171 0.705 0.754 O
0.141 0.501 0.860 O
0.362 0.866 0.856 O
0.165 0.976 0.908 O
0.856 0.494 0.424 O
0.169 0.970 0.195 O
0.521 0.822 0.754 O
0.499 0.859 0.360 O
0.026 0.197 0.191 O
0.506 0.361 0.423 O
0.173 0.197 0.695 O
0.308 0.473 0.473 O
0.803 0.974 0.691 O
0.840 0.300 0.529 O
0.812 0.834 0.910 O
0.025 0.340 0.086 Na
0.985 0.618 0.241 Na
0.002 0.987 0.999 Na
0.013 0.998 0.499 Na
0.671 0.319 0.331 Na
0.311 0.645 0.664 Na
0.382 0.015 0.741 Na
0.681 0.329 0.831 Na
0.378 0.370 0.240 Na
0.630 0.622 0.740 Na
0.660 0.975 0.586 Na
0.355 0.689 0.164 Na
0.284 0.288 0.751 P
0.001 0.713 0.751 P
0.287 0.999 0.251 P
0.663 0.045 0.085 P
0.955 0.337 0.585 P
0.712 0.716 0.251 P
0.673 0.332 0.685 Mg
0.668 0.327 0.185 Mg
0.996 0.003 0.858 Nb
0.334 0.668 0.814 Nb
0.332 0.666 0.314 Nb
0.332 0.667 0.521 Nb
0.997 0.004 0.358 Nb
0.002 0.001 0.143 Nb
0.999 0.998 0.643 Nb
0.663 0.338 0.979 Nb
0.662 0.337 0.479 Nb
0.333 0.668 0.021 Nb
0.384 0.338 0.088 Si
0.711 0.007 0.750 Si
0.335 0.379 0.417 Si
0.379 0.046 0.586 Si
0.954 0.621 0.086 Si
0.621 0.958 0.418 Si
0.993 0.289 0.250 Si
0.335 0.957 0.916 Si
0.042 0.379 0.918 Si
0.043 0.665 0.416 Si
0.621 0.665 0.917 Si
0.662 0.616 0.588 Si

# 5
UCoNiGe2 | Materials Project | PBE | optimized geometry; ρ = 8984 kg/m3; volume = 185.18 Å³ per cell; symmetry = P4/nmm, No. 129; E_tot = -6.72 eV/atom; distance to the lowest polymorph of the same formula = 0.348 eV/atom; formation enthalpy at 0 K = -0.9 kcal/mol of atoms
1.0
4.204 0.000 0.000
0.000 4.204 0.000
0.000 0.000 10.478
Co U Ge Ni
2 2 4 2
direct
0.500 0.500 0.000 Co
0.000 0.000 0.000 Co
0.500 0.000 0.179 U
0.000 0.500 0.821 U
0.500 0.500 0.500 Ge
0.000 0.000 0.500 Ge
0.000 0.500 0.134 Ge
0.500 0.000 0.866 Ge
0.000 0.500 0.602 Ni
0.500 0.000 0.398 Ni

# 6
K2Zn3GeAs4 | Materials Project | PBE | optimized geometry; ρ = 4319 kg/m3; volume = 248.65 Å³ per cell; symmetry = C222, No. 21; E_tot = -3.24 eV/atom; formation enthalpy at 0 K = -7.2 kcal/mol of atoms
1.0
6.500 3.448 -2.756
-7.590 1.910 0.690
1.046 2.249 5.280
K As Zn Ge
2 4 3 1
direct
0.000 0.500 0.753 K
0.500 0.000 0.247 K
0.650 0.864 0.757 As
0.864 0.650 0.243 As
0.136 0.350 0.243 As
0.350 0.136 0.757 As
0.000 0.000 0.500 Zn
0.500 0.500 0.500 Zn
0.500 0.500 0.000 Zn
0.000 0.000 0.000 Ge

# 7
Ce6P17Pd6 | Materials Project | PBE | optimized geometry; ρ = 6058 kg/m3; volume = 549.77 Å³ per cell; symmetry = I-43m, No. 217; E_tot = -6.30 eV/atom; formation enthalpy at 0 K = -19.2 kcal/mol of atoms
1.0
7.938 -4.064 0.607
0.449 8.017 3.928
-6.211 -4.971 4.075
Pd P Ce
6 17 6
direct
0.250 0.750 0.500 Pd
0.750 0.250 0.500 Pd
0.500 0.750 0.250 Pd
0.250 0.500 0.750 Pd
0.500 0.250 0.750 Pd
0.750 0.500 0.250 Pd
0.000 0.639 0.214 P
0.578 0.578 0.578 P
0.361 0.574 0.361 P
0.361 0.361 0.574 P
0.000 0.000 0.422 P
0.214 0.639 0.000 P
0.786 0.786 0.426 P
0.639 0.000 0.214 P
0.426 0.786 0.786 P
0.000 0.422 0.000 P
0.214 0.000 0.639 P
0.786 0.426 0.786 P
0.000 0.214 0.639 P
0.574 0.361 0.361 P
0.639 0.214 0.000 P
0.000 0.000 0.000 P
0.422 0.000 0.000 P
0.283 0.283 0.000 Ce
0.000 0.717 0.717 Ce
0.000 0.283 0.283 Ce
0.717 0.000 0.717 Ce
0.283 0.000 0.283 Ce
0.717 0.717 0.000 Ce

# 8
Cu3Ge | Materials Project | PBE | optimized geometry; ρ = 8558 kg/m3; volume = 102.17 Å³ per cell; symmetry = P6_3/mmc, No. 194; E_tot = -4.23 eV/atom; formation enthalpy at 0 K = -0.1 kcal/mol of atoms
1.0
2.646 -4.583 0.000
2.646 4.583 0.000
0.000 0.000 4.214
Ge Cu
2 6
direct
0.333 0.667 0.750 Ge
0.667 0.333 0.250 Ge
0.835 0.670 0.750 Cu
0.670 0.835 0.250 Cu
0.330 0.165 0.750 Cu
0.165 0.330 0.250 Cu
0.835 0.165 0.750 Cu
0.165 0.835 0.250 Cu

# 9
Eu9Ni26P12 | Materials Project | PBE | optimized geometry; ρ = 7877 kg/m3; volume = 688.39 Å³ per cell; symmetry = P-6m2, No. 187; E_tot = -7.21 eV/atom; formation enthalpy at 0 K = -15.5 kcal/mol of atoms
1.0
0.000 0.000 -3.839
-7.194 -12.461 0.000
-7.194 12.461 0.000
Eu Ni P
9 26 12
direct
0.500 0.377 0.188 Eu
0.000 0.151 0.576 Eu
0.500 0.091 0.181 Eu
0.500 0.819 0.909 Eu
0.000 0.424 0.576 Eu
0.500 0.812 0.188 Eu
0.000 0.424 0.849 Eu
0.500 0.812 0.623 Eu
0.500 0.091 0.909 Eu
0.500 0.622 0.674 Ni
0.500 0.052 0.378 Ni
0.000 0.622 0.076 Ni
0.500 0.052 0.674 Ni
0.000 0.556 0.278 Ni
0.000 0.924 0.378 Ni
0.500 0.798 0.399 Ni
0.500 0.326 0.378 Ni
0.500 0.326 0.948 Ni
0.000 0.622 0.546 Ni
0.000 0.000 0.000 Ni
0.000 0.454 0.076 Ni
0.500 0.601 0.399 Ni
0.000 0.191 0.095 Ni
0.000 0.618 0.809 Ni
0.500 0.601 0.202 Ni
0.000 0.924 0.546 Ni
0.500 0.333 0.667 Ni
0.000 0.722 0.444 Ni
0.500 0.622 0.948 Ni
0.000 0.905 0.095 Ni
0.000 0.191 0.809 Ni
0.000 0.191 0.382 Ni
0.000 0.454 0.378 Ni
0.000 0.905 0.809 Ni
0.000 0.722 0.278 Ni
0.000 0.275 0.278 P
0.000 0.722 0.725 P
0.500 0.971 0.485 P
0.500 0.241 0.759 P
0.000 0.004 0.725 P
0.500 0.519 0.759 P
0.500 0.515 0.029 P
0.000 0.722 0.996 P
0.500 0.515 0.485 P
0.000 0.004 0.278 P
0.500 0.241 0.481 P
0.000 0.275 0.996 P

# 10
Bi4O5 | Materials Project | PBE | optimized geometry; ρ = 8863 kg/m3; volume = 343.21 Å³ per cell; symmetry = Cc, No. 9; E_tot = -5.47 eV/atom; distance to the lowest polymorph of the same formula = 0.000 eV/atom; formation enthalpy at 0 K = -31.6 kcal/mol of atoms
1.0
-5.380 -0.879 -5.597
3.097 -6.861 -2.093
-3.540 -3.217 3.072
Bi O
8 10
direct
0.962 0.767 0.202 Bi
0.441 0.712 0.297 Bi
0.712 0.441 0.797 Bi
0.541 0.199 0.245 Bi
0.767 0.962 0.702 Bi
0.199 0.541 0.745 Bi
0.236 0.031 0.759 Bi
0.031 0.236 0.259 Bi
0.169 0.292 0.556 O
0.486 0.540 0.644 O
0.292 0.169 0.056 O
0.764 0.241 0.500 O
0.241 0.764 0.000 O
0.978 0.022 0.970 O
0.697 0.864 0.361 O
0.864 0.697 0.861 O
0.022 0.978 0.470 O
0.540 0.486 0.144 O

# 11
Ge2Pt3 | Materials Project | PBE | optimized geometry; ρ = 14560 kg/m3; volume = 166.63 Å³ per cell; symmetry = Cmcm, No. 63; E_tot = -5.92 eV/atom; distance to the lowest polymorph of the same formula = 0.004 eV/atom; formation enthalpy at 0 K = -9.8 kcal/mol of atoms
1.0
1.772 -6.129 0.000
1.772 6.129 0.000
0.000 0.000 7.674
Ge Pt
4 6
direct
0.500 0.500 0.500 Ge
0.500 0.500 0.000 Ge
0.244 0.756 0.750 Ge
0.756 0.244 0.250 Ge
0.839 0.161 0.558 Pt
0.034 0.966 0.750 Pt
0.161 0.839 0.442 Pt
0.966 0.034 0.250 Pt
0.839 0.161 0.942 Pt
0.161 0.839 0.058 Pt

# 12
Eu2Si3Ag | Materials Project | PBE | optimized geometry; ρ = 6088 kg/m3; volume = 541.20 Å³ per cell; symmetry = Fddd, No. 70; E_tot = -7.14 eV/atom; formation enthalpy at 0 K = -12.3 kcal/mol of atoms
1.0
2.788 -11.114 -0.384
-4.879 -8.348 1.639
1.189 -4.213 -7.166
Eu Si Ag
8 12 4
direct
0.873 0.873 0.627 Eu
0.876 0.876 0.124 Eu
0.623 0.623 0.377 Eu
0.124 0.124 0.876 Eu
0.374 0.374 0.126 Eu
0.377 0.377 0.623 Eu
0.627 0.627 0.873 Eu
0.126 0.126 0.374 Eu
0.825 0.180 0.337 Si
0.070 0.425 0.591 Si
0.588 0.912 0.588 Si
0.591 0.913 0.070 Si
0.180 0.825 0.659 Si
0.662 0.338 0.662 Si
0.912 0.588 0.912 Si
0.338 0.662 0.338 Si
0.337 0.659 0.825 Si
0.659 0.337 0.180 Si
0.913 0.591 0.425 Si
0.425 0.070 0.913 Si
0.833 0.167 0.833 Ag
0.167 0.833 0.167 Ag
0.417 0.083 0.417 Ag
0.083 0.417 0.083 Ag

# 13
K2CuP4O12 | Materials Project | PBE | optimized geometry; ρ = 2746 kg/m3; volume = 553.48 Å³ per cell; symmetry = Cc, No. 9; E_tot = -6.65 eV/atom; formation enthalpy at 0 K = -57.3 kcal/mol of atoms
1.0
1.624 -0.812 -8.057
2.039 -7.688 2.224
-7.267 -3.424 -1.997
O P Cu K
24 8 2 4
direct
0.575 0.264 0.922 O
0.014 0.743 0.040 O
0.264 0.575 0.422 O
0.912 0.162 0.727 O
0.317 0.025 0.446 O
0.967 0.521 0.568 O
0.976 0.877 0.663 O
0.025 0.317 0.946 O
0.193 0.644 0.719 O
0.723 0.904 0.843 O
0.644 0.193 0.219 O
0.516 0.681 0.999 O
0.180 0.351 0.658 O
0.743 0.014 0.540 O
0.088 0.178 0.334 O
0.351 0.180 0.158 O
0.904 0.723 0.343 O
0.162 0.912 0.227 O
0.178 0.088 0.834 O
0.877 0.976 0.163 O
0.521 0.967 0.068 O
0.426 0.903 0.790 O
0.681 0.516 0.499 O
0.903 0.426 0.290 O
0.841 0.985 0.679 P
0.533 0.854 0.919 P
0.162 0.537 0.584 P
0.075 0.225 0.808 P
0.985 0.841 0.179 P
0.225 0.075 0.308 P
0.854 0.533 0.419 P
0.537 0.162 0.084 P
0.875 0.187 0.254 Cu
0.187 0.875 0.754 Cu
0.226 0.501 0.110 K
0.798 0.540 0.900 K
0.540 0.798 0.400 K
0.501 0.226 0.610 K